DFT (PBE) results for crystalline Na8Ca2La2Si3S3O24 at its relaxed geometry.

abc: 9.7003 9.6940 23.5185
angles: 89.88 90.25 119.90
Closest atoms and distances in Å follow each position.
Fractional coordinates of all 126 atoms:
Si (0.3150, 0.3119, 0.7520)  4 O 1.64-1.67
Si (0.6677, 0.6428, 0.5821)  4 O 1.63-1.67
Si (0.6458, 0.9777, 0.4157)  4 O 1.63-1.68
Si (0.3160, 0.0039, 0.2510)  4 O 1.64-1.67
Si (0.0009, 0.3110, 0.2485)  4 O 1.63-1.67
Si (0.3281, 0.9769, 0.9210)  4 O 1.64-1.69
Si (0.9865, 0.3413, 0.5833)  4 O 1.64-1.67
Si (0.6902, 0.0043, 0.7542)  4 O 1.64-1.67
Si (0.9749, 0.6426, 0.0830)  4 O 1.64-1.68
S (0.0246, 0.6715, 0.4178)  4 O 1.48-1.50
S (0.6926, 0.6875, 0.2496)  4 O 1.48-1.50
S (0.3624, 0.3420, 0.0843)  4 O 1.48-1.50
S (0.0311, 0.3555, 0.9199)  4 O 1.48-1.51
S (0.3303, 0.3563, 0.4157)  4 O 1.48-1.50
S (0.3573, 0.0197, 0.5838)  4 O 1.48-1.50
S (0.6433, 0.6722, 0.9223)  4 O 1.48-1.50
S (0.9908, 0.6887, 0.7531)  4 O 1.48-1.50
S (0.6634, 0.0188, 0.0838)  4 O 1.48-1.50
O (0.1598, 0.5060, 0.5823)  1 Si 1.64
O (0.0162, 0.2321, 0.1873)  1 Si 1.67
O (0.0136, 0.8193, 0.4152)  1 S 1.49
O (0.5217, 0.8560, 0.0804)  1 S 1.49
O (0.1846, 0.1960, 0.4146)  1 S 1.49
O (0.4930, 0.3325, 0.7476)  1 Si 1.64
O (0.1935, 0.9941, 0.5885)  1 S 1.49
O (0.2053, 0.2211, 0.6957)  1 Si 1.65
O (0.8756, 0.5349, 0.1376)  1 Si 1.64
O (0.0136, 0.1853, 0.5825)  1 Si 1.66
O (0.4581, 0.1074, 0.6332)  1 S 1.48
O (0.9846, 0.7730, 0.8051)  1 S 1.49
O (0.3323, 0.4921, 0.7514)  1 Si 1.67
O (0.5454, 0.6569, 0.8716)  1 S 1.48
O (0.8332, 0.8194, 0.5819)  1 Si 1.66
O (0.0996, 0.6532, 0.3648)  1 S 1.50
O (0.1517, 0.6542, 0.0849)  1 Si 1.66
O (0.5285, 0.6630, 0.2548)  1 S 1.49
O (0.1975, 0.2010, 0.0854)  1 S 1.50
O (0.8439, 0.3341, 0.2492)  1 Si 1.65
O (0.2271, 0.2075, 0.8090)  1 Si 1.64
O (0.8746, 0.5588, 0.0233)  1 Si 1.67
O (0.8817, 0.3213, 0.5245)  1 Si 1.67
O (0.8422, 0.5325, 0.7496)  1 S 1.48
O (0.6769, 0.5566, 0.5220)  1 Si 1.67
O (0.4278, 0.1138, 0.5306)  1 S 1.50
O (0.0150, 0.1950, 0.9169)  1 S 1.49
O (0.6655, 0.5295, 0.9222)  1 S 1.50
O (0.6613, 0.1582, 0.4151)  1 Si 1.68
O (0.8084, 0.0021, 0.0876)  1 S 1.50
O (0.6839, 0.1700, 0.7496)  1 Si 1.64
O (0.2181, 0.0118, 0.3062)  1 Si 1.64
O (0.1629, 0.9862, 0.9163)  1 Si 1.65
O (0.3536, 0.8877, 0.8658)  1 Si 1.65
O (0.5600, 0.6766, 0.9747)  1 S 1.49
O (0.8603, 0.5305, 0.4198)  1 S 1.50
O (0.1246, 0.4385, 0.9715)  1 S 1.49
O (0.4874, 0.1622, 0.9201)  1 Si 1.69
O (0.5448, 0.8669, 0.4694)  1 Si 1.63
O (0.6460, 0.1031, 0.1332)  1 S 1.48
O (0.3532, 0.4908, 0.0809)  1 S 1.49
O (0.7953, 0.7766, 0.2982)  1 S 1.48
O (0.4409, 0.3244, 0.0323)  1 S 1.50
O (0.5118, 0.6679, 0.5830)  1 Si 1.65
O (0.5039, 0.8533, 0.7516)  1 Si 1.67
O (0.3151, 0.8790, 0.9797)  1 Si 1.64
O (0.8230, 0.9912, 0.4177)  1 Si 1.66
O (0.7828, 0.0062, 0.8130)  1 Si 1.64
O (0.3205, 0.4473, 0.4644)  1 S 1.48
O (0.1219, 0.6796, 0.4676)  1 S 1.48
O (0.4560, 0.3494, 0.1352)  1 S 1.48
O (0.0139, 0.7871, 0.7016)  1 S 1.49
O (0.1649, 0.4902, 0.2504)  1 Si 1.67
O (0.2139, 0.9844, 0.1915)  1 Si 1.67
O (0.9870, 0.1950, 0.3010)  1 Si 1.63
O (0.3454, 0.4450, 0.3616)  1 S 1.50
O (0.6561, 0.5328, 0.6363)  1 Si 1.63
O (0.8896, 0.3502, 0.6386)  1 Si 1.64
O (0.6805, 0.1125, 0.0311)  1 S 1.50
O (0.9929, 0.8241, 0.0829)  1 Si 1.68
O (0.3410, 0.8461, 0.2501)  1 Si 1.66
O (0.6806, 0.5290, 0.2463)  1 S 1.48
O (0.3475, 0.8618, 0.5804)  1 S 1.49
O (0.4899, 0.1682, 0.2500)  1 Si 1.64
O (0.8030, 0.8184, 0.9198)  1 S 1.49
O (0.1086, 0.4527, 0.8687)  1 S 1.48
O (0.7610, 0.7802, 0.1957)  1 S 1.50
O (0.5501, 0.8974, 0.3550)  1 Si 1.67
O (0.7816, 0.9793, 0.6999)  1 Si 1.64
O (0.8662, 0.3348, 0.9223)  1 S 1.51
O (0.1289, 0.6604, 0.7556)  1 S 1.50
O (0.4731, 0.3355, 0.4191)  1 S 1.50
Ca (0.0028, 0.0077, 0.8431)  5 O 2.22-2.47
Ca (0.3404, 0.6686, 0.5165)  6 O 2.25-2.45
Ca (0.6706, 0.3324, 0.6788)  6 O 2.25-2.46
Ca (0.3247, 0.6731, 0.0150)  6 O 2.20-2.46
Ca (0.6706, 0.3311, 0.1838)  6 O 2.26-2.45
Ca (0.9998, 0.0025, 0.3466)  6 O 2.21-2.45
Na (0.6895, 0.6958, 0.0812)  6 O 2.56-2.85
Na (0.6680, 0.2975, 0.3273)  3 O 2.38-2.45
Na (0.9819, 0.3348, 0.7299)  2 O 2.36-2.55
Na (0.3476, 0.0331, 0.4039)  5 O 2.57-2.86
Na (0.3392, 0.3280, 0.2578)  6 O 2.61-2.91
Na (0.3952, 0.0368, 0.7510)  3 O 2.43-2.53
Na (0.9493, 0.2691, 0.4181)  2 O 2.34-2.44
Na (0.3195, 0.2665, 0.8971)  3 O 2.21-2.40
Na (0.2806, 0.9351, 0.0806)  3 O 2.37-2.50
Na (0.9601, 0.0013, 0.5069)  3 O 2.36-2.45
Na (0.9973, 0.6164, 0.2391)  3 O 2.39-2.60
Na (0.2927, 0.6676, 0.1730)  3 O 2.39-2.44
Na (0.3055, 0.3620, 0.5970)  4 O 2.45-2.64
Na (0.0067, 0.6643, 0.5880)  6 O 2.62-2.92
Na (0.6997, 0.7007, 0.4387)  2 O 2.35-2.50
Na (0.6170, 0.6155, 0.7256)  3 O 2.35-2.48
Na (0.6767, 0.0261, 0.8926)  1 O 2.19
Na (0.6434, 0.3144, 0.8173)  2 O 2.25-2.28
Na (0.0200, 0.9769, 0.9952)  2 O 2.29-2.47
Na (0.0328, 0.3649, 0.1026)  2 O 2.33-2.48
Na (0.9978, 0.7013, 0.9204)  2 O 2.41-2.65
Na (0.6656, 0.9494, 0.5787)  2 O 2.37-2.50
Na (0.6438, 0.0318, 0.2650)  4 O 2.41-2.61
Na (0.3448, 0.6499, 0.6580)  2 O 2.35-2.41
La (0.6729, 0.3317, 0.4916)  4 O 2.21-2.44
La (0.3351, 0.6774, 0.3200)  6 O 2.27-2.50
La (0.0101, 0.0034, 0.1591)  4 O 2.21-2.46
La (0.3406, 0.6764, 0.8159)  5 O 2.24-2.46
La (0.9945, 0.0086, 0.6539)  4 O 2.22-2.41
La (0.6684, 0.3319, 0.9870)  6 O 2.27-2.46

## Properties
The calculated formation energy is -2.69 eV/atom. The MP2020-corrected energy comes out at -6.79 eV/atom. Its crystal system is triclinic.

DFT (PBE) results for crystalline SrCaLaNbO6 at its relaxed geometry.

abc: 5.9271 5.9271 5.9271
angles: 60.00 60.00 60.00
Closest atoms and distances in Å follow each position.
Fractional coordinates of all 10 atoms:
O (0.7376, 0.2624, 0.2624)  1 Nb 1.99, 1 Ca 2.20
O (0.7376, 0.7376, 0.2624)  1 Nb 1.99, 1 Ca 2.20
O (0.2624, 0.7376, 0.7376)  1 Nb 1.99, 1 Ca 2.20
O (0.2624, 0.7376, 0.2624)  1 Nb 1.99, 1 Ca 2.20
O (0.7376, 0.2624, 0.7376)  1 Nb 1.99, 1 Ca 2.20
O (0.2624, 0.2624, 0.7376)  1 Nb 1.99, 1 Ca 2.20
La (0.7500, 0.7500, 0.7500)  12 O 2.97
Ca (0.0000, 0.0000, 0.0000)  6 O 2.20
Nb (0.5000, 0.5000, 0.5000)  6 O 1.99
Sr (0.2500, 0.2500, 0.2500)  12 O 2.97

## Properties
The calculated formation energy is -3.26 eV/atom. The MP2020-corrected energy comes out at -8.10 eV/atom. Its crystal system is cubic.

DFT (PBE) results for crystalline Ca2LaSbO6 at its relaxed geometry.

abc: 6.0589 6.0589 6.0589
angles: 60.00 60.00 60.00
Closest atoms and distances in Å follow each position.
Fractional coordinates of all 10 atoms:
Ca (0.2500, 0.2500, 0.2500)  12 O 3.03
Ca (0.7500, 0.7500, 0.7500)  12 O 3.03
La (0.0000, 0.0000, 0.0000)  6 O 2.30
O (0.2683, 0.7317, 0.7317)  1 Sb 1.99
O (0.2683, 0.7317, 0.2683)  1 Sb 1.99
O (0.7317, 0.2683, 0.2683)  1 Sb 1.99
O (0.7317, 0.2683, 0.7317)  1 Sb 1.99
O (0.7317, 0.7317, 0.2683)  1 Sb 1.99
O (0.2683, 0.2683, 0.7317)  1 Sb 1.99
Sb (0.5000, 0.5000, 0.5000)  6 O 1.99

## Properties
The calculated formation energy is -2.80 eV/atom. The MP2020-corrected energy comes out at -7.08 eV/atom. Its crystal system is cubic.

DFT (PBE) results for crystalline Ca2LaSbO6 at its relaxed geometry.

abc: 8.3830 8.3830 8.3830
angles: 90.00 90.00 90.00
Closest atoms and distances in Å follow each position.
Fractional coordinates of all 40 atoms:
Ca (0.5000, 0.5000, 0.0000)  4 O 2.34
Ca (0.0000, 0.0000, 0.0000)  12 O 2.95
Ca (0.5000, 0.5000, 0.5000)  12 O 2.95
Ca (0.0000, 0.5000, 0.0000)  4 O 2.34
Ca (0.5000, 0.0000, 0.0000)  4 O 2.34
Ca (0.0000, 0.0000, 0.5000)  4 O 2.34
Ca (0.0000, 0.5000, 0.5000)  4 O 2.34
Ca (0.5000, 0.0000, 0.5000)  4 O 2.34
O (0.0220, 0.7043, 0.8106)  1 Sb 2.01
O (0.3106, 0.4780, 0.2043)  1 Sb 2.01
O (0.8106, 0.0220, 0.7043)  1 Sb 2.01
O (0.8106, 0.9780, 0.2957)  1 Sb 2.01
O (0.5220, 0.2043, 0.6894)  1 Sb 2.01
O (0.1894, 0.9780, 0.7043)  1 Sb 2.01
O (0.4780, 0.2043, 0.3106)  1 Sb 2.01
O (0.9780, 0.2957, 0.8106)  1 Sb 2.01
O (0.1894, 0.0220, 0.2957)  1 Sb 2.01
O (0.9780, 0.7043, 0.1894)  1 Sb 2.01
O (0.2043, 0.3106, 0.4780)  1 Sb 2.01
O (0.0220, 0.2957, 0.1894)  1 Sb 2.01
O (0.6894, 0.4780, 0.7957)  1 Sb 2.01
O (0.7043, 0.1894, 0.9780)  1 Sb 2.01
O (0.2043, 0.6894, 0.5220)  1 Sb 2.01
O (0.2957, 0.1894, 0.0220)  1 Sb 2.01
O (0.6894, 0.5220, 0.2043)  1 Sb 2.01
O (0.2957, 0.8106, 0.9780)  1 Sb 2.01
O (0.5220, 0.7957, 0.3106)  1 Sb 2.01
O (0.7957, 0.6894, 0.4780)  1 Sb 2.01
O (0.3106, 0.5220, 0.7957)  1 Sb 2.01
O (0.7043, 0.8106, 0.0220)  1 Sb 2.01
O (0.4780, 0.7957, 0.6894)  1 Sb 2.01
O (0.7957, 0.3106, 0.5220)  1 Sb 2.01
Sb (0.2500, 0.7500, 0.7500)  6 O 2.01
Sb (0.7500, 0.2500, 0.7500)  6 O 2.01
Sb (0.7500, 0.7500, 0.2500)  6 O 2.01
Sb (0.2500, 0.2500, 0.2500)  6 O 2.01
La (0.7500, 0.7500, 0.7500)  6 O 2.37
La (0.7500, 0.2500, 0.2500)  6 O 2.37
La (0.2500, 0.7500, 0.2500)  6 O 2.37
La (0.2500, 0.2500, 0.7500)  6 O 2.37

## Properties
The calculated formation energy is -2.98 eV/atom. The MP2020-corrected energy comes out at -7.26 eV/atom. Its crystal system is cubic.

DFT (PBE) results for crystalline Ca2LaSbO6 at its relaxed geometry.

abc: 5.7249 5.9340 8.2626
angles: 90.00 89.96 90.00
Closest atoms and distances in Å follow each position.
Fractional coordinates of all 20 atoms:
La (0.9857, 0.4486, 0.2520)  4 O 2.39-2.50
La (0.4857, 0.0514, 0.7520)  4 O 2.39-2.50
O (0.8879, 0.9488, 0.7706)  1 Sb 2.03
O (0.8256, 0.7163, 0.0651)  1 Sb 2.02
O (0.2856, 0.8188, 0.9461)  1 Sb 2.01
O (0.6752, 0.2177, 0.4345)  1 Sb 2.03
O (0.3256, 0.7837, 0.5651)  1 Sb 2.02
O (0.6143, 0.4523, 0.7298)  1 Sb 2.02
O (0.1752, 0.2823, 0.9345)  1 Sb 2.03
O (0.7856, 0.6812, 0.4461)  1 Sb 2.01
O (0.7133, 0.1809, 0.0541)  1 Sb 2.01
O (0.1143, 0.0477, 0.2298)  1 Sb 2.02
O (0.2133, 0.3191, 0.5541)  1 Sb 2.01
O (0.3879, 0.5512, 0.2706)  1 Sb 2.03
Sb (0.9997, 0.9996, 0.0009)  6 O 2.01-2.03
Sb (0.4997, 0.5004, 0.5009)  6 O 2.01-2.03
Ca (0.9994, 0.9967, 0.4991)  6 O 2.28-2.35
Ca (0.0133, 0.5503, 0.7478)  4 O 2.36-2.48
Ca (0.4994, 0.5033, 0.9991)  6 O 2.28-2.35
Ca (0.5133, 0.9497, 0.2478)  4 O 2.36-2.48

## Properties
The calculated formation energy is -3.10 eV/atom. The MP2020-corrected energy comes out at -7.38 eV/atom. Its crystal system is monoclinic.

DFT (PBE) results for crystalline Ca2La5Sb5O14 at its relaxed geometry.

abc: 7.3588 7.4822 11.4464
angles: 87.12 90.00 90.00
Closest atoms and distances in Å follow each position.
Fractional coordinates of all 26 atoms:
O (0.7777, 0.4340, 0.8706)  2 Sb 2.09-2.28
O (0.0000, 0.7956, 0.3530)  2 Sb 2.27, 1 Ca 2.33
O (0.2558, 0.4761, 0.6387)  1 Sb 2.04, 1 La 2.23
O (0.0000, 0.2044, 0.6470)  2 Sb 2.27, 1 Ca 2.33
O (0.7442, 0.5239, 0.3613)  1 Sb 2.04, 1 La 2.23
O (0.0000, 0.2351, 0.3688)  1 Ca 2.25, 2 La 2.29
O (0.0000, 0.7649, 0.6312)  1 Ca 2.25, 2 La 2.29
O (0.2223, 0.4340, 0.8706)  2 Sb 2.09-2.28
O (0.7442, 0.4761, 0.6387)  1 Sb 2.04, 1 La 2.23
O (0.2558, 0.5239, 0.3613)  1 Sb 2.04, 1 La 2.23
O (0.0000, 0.7679, 0.8859)  1 Ca 2.22, 1 Sb 2.34, 2 La 2.36
O (0.0000, 0.2321, 0.1141)  1 Ca 2.22, 1 Sb 2.34, 2 La 2.36
O (0.7777, 0.5660, 0.1294)  2 Sb 2.09-2.28
O (0.2223, 0.5660, 0.1294)  2 Sb 2.09-2.28
Ca (0.0000, 0.0000, 0.0000)  2 O 2.22
Ca (0.0000, 0.0000, 0.5000)  4 O 2.25-2.33
Sb (0.2650, 0.7523, 0.2565)  3 O 2.04-2.27
Sb (0.7350, 0.2477, 0.7435)  3 O 2.04-2.27
Sb (0.0000, 0.5000, 0.0000)  6 O 2.28-2.34
Sb (0.2650, 0.2477, 0.7435)  3 O 2.04-2.27
Sb (0.7350, 0.7523, 0.2565)  3 O 2.04-2.27
La (0.0000, 0.5000, 0.5000)  8 O 2.46-2.71
La (0.2385, 0.2948, 0.2439)  4 O 2.23-2.36
La (0.7615, 0.7052, 0.7561)  4 O 2.23-2.36
La (0.2385, 0.7052, 0.7561)  4 O 2.23-2.36
La (0.7615, 0.2948, 0.2439)  4 O 2.23-2.36

## Properties
The calculated formation energy is -2.35 eV/atom. The MP2020-corrected energy comes out at -6.91 eV/atom. Its crystal system is monoclinic.